# 1
# LaFe5H7 GGA-PBE optimized geometry
data_LaFe5H7
_chemical_formula_sum 'La4 Fe20 H28'
_cell_length_a 5.826
_cell_length_b 9.409
_cell_length_c 8.271
_cell_angle_alpha 90.00
_cell_angle_beta 90.00
_cell_angle_gamma 90.00
_space_group_name_H-M_alt 'C c c m'
_space_group_IT_number 66
_space_group_name_Hall '-C 2 2c'
loop_
_atom_site_label
_atom_site_type_symbol
_atom_site_fract_x
_atom_site_fract_y
_atom_site_fract_z
La1 La 0.000 0.000 0.000
Fe1 Fe 0.000 0.500 0.250
Fe2 Fe 0.009 0.347 0.000
Fe3 Fe 0.250 0.250 0.267
H1 H 0.000 0.156 0.250
H2 H 0.197 0.396 0.152
H3 H 0.250 0.250 0.500
# * crystal system: orthorhombic
# * corrected total energy (MP2020 scheme): -5.6517 eV per atom
# * formation energy: -187 meV per atom

# 2
# BaHgO2 GGA-PBE optimized geometry
data_BaHgO2
_chemical_formula_sum 'Ba3 Hg3 O6'
_cell_length_a 4.2024
_cell_length_b 4.2024
_cell_length_c 19.6525
_cell_angle_alpha 90.00
_cell_angle_beta 90.00
_cell_angle_gamma 120.00
_space_group_name_H-M_alt 'R -3 m'
_space_group_IT_number 166
_space_group_name_Hall '-R 3 2"'
loop_
_atom_site_label
_atom_site_type_symbol
_atom_site_fract_x
_atom_site_fract_y
_atom_site_fract_z
Ba1 Ba 0.0000 0.0000 0.0000
Hg1 Hg 0.0000 0.0000 0.5000
O1 O 0.0000 0.0000 0.3982
# * crystal system: trigonal
# * corrected total energy (MP2020 scheme): -4.9921 eV per atom
# * formation energy: -1962 meV per atom

# 3
# LuSBr GGA-PBE optimized geometry
data_LuSBr
_chemical_formula_sum 'Lu2 S2 Br2'
_cell_length_a 3.957
_cell_length_b 5.272
_cell_length_c 9.741
_cell_angle_alpha 90.00
_cell_angle_beta 90.00
_cell_angle_gamma 90.00
_space_group_name_H-M_alt 'P m m n'
_space_group_IT_number 59
loop_
_space_group_symop_operation_xyz
'x,y,z'
'-x,-y,-z'
'-x+1/2,-y+1/2,z'
'x+1/2,y+1/2,-z'
'x+1/2,-y,-z'
'-x+1/2,y,z'
'-x,y+1/2,-z'
'x,-y+1/2,z'
loop_
_atom_site_label
_atom_site_type_symbol
_atom_site_fract_x
_atom_site_fract_y
_atom_site_fract_z
Lu1 Lu 0.250 0.250 0.114
S1 S 0.250 0.750 0.072
Br1 Br 0.250 0.750 0.687
# * crystal system: orthorhombic
# * corrected total energy (MP2020 scheme): -5.7882 eV per atom
# * formation energy: -2357 meV per atom

# 4
# Pr2CN2O2 GGA-PBE optimized geometry
data_Pr2CN2O2
_chemical_formula_sum 'Pr2 C1 N2 O2'
_cell_length_a 3.9629
_cell_length_b 3.9629
_cell_length_c 8.4089
_cell_angle_alpha 90.00
_cell_angle_beta 90.00
_cell_angle_gamma 120.00
_space_group_name_H-M_alt 'P -3 m 1'
_space_group_IT_number 164
_space_group_name_Hall '-P 3 2"'
loop_
_atom_site_label
_atom_site_type_symbol
_atom_site_fract_x
_atom_site_fract_y
_atom_site_fract_z
Pr1 Pr 0.3333 0.6667 0.3188
C1 C 0.0000 0.0000 0.0000
N1 N 0.0000 0.0000 0.1472
O1 O 0.3333 0.6667 0.6037
# * crystal system: trigonal
# * corrected total energy (MP2020 scheme): -8.7266 eV per atom
# * formation energy: -2247 meV per atom

# 5
# Na14La4Nb4Si11SO48 GGA-PBE optimized geometry
data_Na14La4Nb4Si11SO48
_chemical_formula_sum 'Na42 La12 Nb12 Si33 S3 O144'
_cell_length_a 9.454
_cell_length_b 16.396
_cell_length_c 22.889
_cell_angle_alpha 90.05
_cell_angle_beta 90.16
_cell_angle_gamma 90.01
_space_group_name_H-M_alt 'P 1'
_space_group_IT_number 1
_space_group_name_Hall 'P 1'
loop_
_atom_site_label
_atom_site_type_symbol
_atom_site_fract_x
_atom_site_fract_y
_atom_site_fract_z
Na1 Na 0.000 0.000 0.000
Na2 Na 0.000 0.700 0.669
Na3 Na 0.003 0.670 0.332
Na4 Na 0.015 0.358 0.997
Na5 Na 0.016 0.330 0.668
Na6 Na 0.134 0.202 0.166
Na7 Na 0.137 0.821 0.167
Na8 Na 0.138 0.491 0.503
Na9 Na 0.141 0.868 0.499
Na10 Na 0.146 0.165 0.835
Na11 Na 0.195 0.839 0.837
Na12 Na 0.204 0.513 0.160
Na13 Na 0.207 0.178 0.498
Na14 Na 0.311 0.008 0.415
Na15 Na 0.317 0.681 0.752
Na16 Na 0.325 0.346 0.081
Na17 Na 0.327 0.012 0.915
Na18 Na 0.330 0.345 0.582
Na19 Na 0.341 0.685 0.249
Na20 Na 0.461 0.184 0.995
Na21 Na 0.466 0.506 0.663
Na22 Na 0.503 0.171 0.333
Na23 Na 0.506 0.199 0.669
Na24 Na 0.507 0.857 0.999
Na25 Na 0.509 0.494 0.002
Na26 Na 0.522 0.830 0.669
Na27 Na 0.638 0.700 0.167
Na28 Na 0.638 0.991 0.504
Na29 Na 0.640 0.322 0.166
Na30 Na 0.641 0.369 0.499
Na31 Na 0.648 0.670 0.834
Na32 Na 0.657 0.023 0.832
Na33 Na 0.704 0.012 0.162
Na34 Na 0.707 0.677 0.499
Na35 Na 0.810 0.508 0.414
Na36 Na 0.821 0.185 0.750
Na37 Na 0.827 0.844 0.584
Na38 Na 0.828 0.844 0.086
Na39 Na 0.843 0.186 0.249
Na40 Na 0.847 0.507 0.913
Na41 Na 0.960 0.007 0.668
Na42 Na 0.977 0.676 0.000
La1 La 0.319 0.345 0.923
La2 La 0.322 0.676 0.908
La3 La 0.325 0.339 0.741
La4 La 0.326 0.013 0.562
La5 La 0.327 0.340 0.234
La6 La 0.328 0.683 0.098
La7 La 0.335 0.343 0.431
La8 La 0.823 0.176 0.099
La9 La 0.827 0.512 0.564
La10 La 0.827 0.840 0.235
La11 La 0.830 0.849 0.740
La12 La 0.835 0.843 0.431
Nb1 Nb 0.315 0.009 0.267
Nb2 Nb 0.325 0.014 0.062
Nb3 Nb 0.330 0.679 0.605
Nb4 Nb 0.332 0.010 0.764
Nb5 Nb 0.338 0.683 0.398
Nb6 Nb 0.814 0.509 0.267
Nb7 Nb 0.826 0.180 0.902
Nb8 Nb 0.827 0.178 0.605
Nb9 Nb 0.827 0.844 0.928
Nb10 Nb 0.830 0.510 0.064
Nb11 Nb 0.838 0.184 0.397
Nb12 Nb 0.839 0.513 0.761
Si1 Si 0.041 0.011 0.164
Si2 Si 0.050 0.679 0.498
Si3 Si 0.130 0.177 0.002
Si4 Si 0.134 0.516 0.663
Si5 Si 0.148 0.843 0.333
Si6 Si 0.165 0.838 0.999
Si7 Si 0.170 0.159 0.665
Si8 Si 0.170 0.184 0.332
Si9 Si 0.170 0.521 0.006
Si10 Si 0.186 0.859 0.664
Si11 Si 0.463 0.537 0.500
Si12 Si 0.466 0.152 0.167
Si13 Si 0.471 0.874 0.164
Si14 Si 0.473 0.820 0.501
Si15 Si 0.489 0.183 0.832
Si16 Si 0.520 0.847 0.829
Si17 Si 0.540 0.511 0.162
Si18 Si 0.550 0.180 0.497
Si19 Si 0.629 0.016 0.662
Si20 Si 0.647 0.679 0.998
Si21 Si 0.648 0.343 0.333
Si22 Si 0.670 0.684 0.332
Si23 Si 0.671 0.661 0.665
Si24 Si 0.675 0.024 0.997
Si25 Si 0.679 0.331 0.001
Si26 Si 0.682 0.361 0.663
Si27 Si 0.962 0.038 0.500
Si28 Si 0.969 0.652 0.168
Si29 Si 0.970 0.370 0.167
Si30 Si 0.974 0.320 0.502
Si31 Si 0.975 0.689 0.828
Si32 Si 0.984 0.001 0.834
Si33 Si 0.997 0.345 0.833
S1 S 0.166 0.507 0.332
S2 S 0.500 0.505 0.828
S3 S 0.666 0.007 0.332
O1 O 0.007 0.168 0.948
O2 O 0.008 0.526 0.717
O3 O 0.009 0.518 0.328
O4 O 0.018 0.844 0.671
O5 O 0.046 0.191 0.062
O6 O 0.048 0.822 0.276
O7 O 0.051 0.495 0.604
O8 O 0.057 0.861 0.391
O9 O 0.086 0.364 0.892
O10 O 0.093 0.319 0.777
O11 O 0.132 0.033 0.493
O12 O 0.140 0.660 0.170
O13 O 0.142 0.368 0.164
O14 O 0.143 0.683 0.840
O15 O 0.145 0.324 0.503
O16 O 0.150 0.009 0.222
O17 O 0.151 0.013 0.108
O18 O 0.154 0.681 0.440
O19 O 0.157 0.681 0.557
O20 O 0.159 0.004 0.829
O21 O 0.170 0.778 0.055
O22 O 0.176 0.585 0.952
O23 O 0.188 0.238 0.273
O24 O 0.195 0.457 0.385
O25 O 0.206 0.909 0.604
O26 O 0.216 0.605 0.663
O27 O 0.222 0.095 0.721
O28 O 0.224 0.090 0.002
O29 O 0.226 0.468 0.280
O30 O 0.228 0.590 0.337
O31 O 0.229 0.251 0.673
O32 O 0.236 0.127 0.605
O33 O 0.236 0.929 0.009
O34 O 0.237 0.252 0.992
O35 O 0.238 0.431 0.998
O36 O 0.242 0.442 0.677
O37 O 0.244 0.561 0.063
O38 O 0.245 0.758 0.340
O39 O 0.249 0.093 0.324
O40 O 0.251 0.803 0.943
O41 O 0.253 0.224 0.388
O42 O 0.254 0.922 0.322
O43 O 0.255 0.915 0.721
O44 O 0.275 0.771 0.664
O45 O 0.383 0.450 0.502
O46 O 0.388 0.240 0.163
O47 O 0.392 0.786 0.169
O48 O 0.393 0.906 0.494
O49 O 0.402 0.219 0.887
O50 O 0.404 0.593 0.445
O51 O 0.411 0.099 0.224
O52 O 0.411 0.588 0.560
O53 O 0.413 0.092 0.820
O54 O 0.414 0.100 0.107
O55 O 0.416 0.930 0.219
O56 O 0.417 0.770 0.839
O57 O 0.419 0.924 0.104
O58 O 0.420 0.764 0.444
O59 O 0.423 0.765 0.560
O60 O 0.429 0.934 0.827
O61 O 0.442 0.589 0.828
O62 O 0.443 0.462 0.777
O63 O 0.446 0.428 0.163
O64 O 0.454 0.596 0.167
O65 O 0.455 0.097 0.493
O66 O 0.457 0.263 0.503
O67 O 0.465 0.461 0.883
O68 O 0.474 0.235 0.772
O69 O 0.494 0.659 0.664
O70 O 0.498 0.670 0.343
O71 O 0.499 0.018 0.001
O72 O 0.505 0.020 0.717
O73 O 0.510 0.018 0.327
O74 O 0.514 0.349 0.987
O75 O 0.515 0.346 0.674
O76 O 0.545 0.002 0.602
O77 O 0.548 0.322 0.276
O78 O 0.551 0.707 0.053
O79 O 0.555 0.655 0.940
O80 O 0.557 0.361 0.391
O81 O 0.600 0.834 0.768
O82 O 0.634 0.532 0.494
O83 O 0.638 0.155 0.170
O84 O 0.642 0.507 0.103
O85 O 0.643 0.869 0.162
O86 O 0.644 0.824 0.503
O87 O 0.647 0.855 0.882
O88 O 0.651 0.511 0.219
O89 O 0.654 0.181 0.440
O90 O 0.657 0.181 0.557
O91 O 0.658 0.510 0.825
O92 O 0.660 0.166 0.845
O93 O 0.688 0.281 0.062
O94 O 0.688 0.738 0.273
O95 O 0.694 0.407 0.601
O96 O 0.695 0.957 0.385
O97 O 0.712 0.106 0.664
O98 O 0.718 0.092 0.947
O99 O 0.721 0.596 0.719
O100 O 0.726 0.968 0.279
O101 O 0.728 0.090 0.337
O102 O 0.730 0.753 0.672
O103 O 0.736 0.626 0.604
O104 O 0.736 0.932 0.979
O105 O 0.739 0.942 0.669
O106 O 0.746 0.259 0.340
O107 O 0.749 0.593 0.324
O108 O 0.751 0.761 0.985
O109 O 0.752 0.423 0.322
O110 O 0.752 0.600 0.009
O111 O 0.753 0.724 0.388
O112 O 0.754 0.048 0.058
O113 O 0.755 0.269 0.950
O114 O 0.759 0.423 0.714
O115 O 0.764 0.420 0.001
O116 O 0.771 0.273 0.664
O117 O 0.882 0.950 0.502
O118 O 0.885 0.601 0.826
O119 O 0.888 0.740 0.163
O120 O 0.893 0.282 0.170
O121 O 0.894 0.406 0.494
O122 O 0.900 0.750 0.881
O123 O 0.902 0.260 0.845
O124 O 0.903 0.093 0.445
O125 O 0.903 0.429 0.818
O126 O 0.905 0.979 0.773
O127 O 0.911 0.089 0.560
O128 O 0.913 0.422 0.108
O129 O 0.913 0.596 0.111
O130 O 0.916 0.428 0.222
O131 O 0.916 0.600 0.226
O132 O 0.920 0.265 0.445
O133 O 0.922 0.265 0.561
O134 O 0.923 0.091 0.853
O135 O 0.936 0.930 0.883
O136 O 0.949 0.093 0.170
O137 O 0.951 0.927 0.162
O138 O 0.955 0.736 0.767
O139 O 0.956 0.597 0.494
O140 O 0.957 0.763 0.503
O141 O 0.992 0.851 0.985
O142 O 0.994 0.159 0.666
O143 O 0.995 0.510 0.012
O144 O 0.999 0.170 0.343
# * crystal system: triclinic
# * corrected total energy (MP2020 scheme): -7.5851 eV per atom
# * formation energy: -2951 meV per atom

# 6
# V6CoRh GGA-PBE optimized geometry
data_V6CoRh
_chemical_formula_sum 'V6 Co1 Rh1'
_cell_length_a 4.722
_cell_length_b 4.722
_cell_length_c 4.722
_cell_angle_alpha 90.00
_cell_angle_beta 90.00
_cell_angle_gamma 90.00
_space_group_name_H-M_alt 'P m -3'
_space_group_IT_number 200
_space_group_name_Hall '-P 2 2 3'
loop_
_atom_site_label
_atom_site_type_symbol
_atom_site_fract_x
_atom_site_fract_y
_atom_site_fract_z
V1 V 0.000 0.246 0.500
Co1 Co 0.000 0.000 0.000
Rh1 Rh 0.500 0.500 0.500
# * crystal system: cubic
# * formation energy: -250 meV per atom